Computed, not measured: a geometry-optimized NaCa2LuSi2O7F2 structure at the PBE-GGA level of DFT.

Cell: 9.2784 9.4298 10.1961 Å, 95.67 92.08 108.44°
Element x y z (fractional)
Si (0.8299, 0.1286, 0.8023)
Si (0.9026, 0.2481, 0.3877)
Si (0.7659, 0.5825, 0.6907)
Si (0.1805, 0.5118, 0.3654)
Si (0.0469, 0.9150, 0.1149)
Si (0.8144, 0.6559, 0.1398)
Si (0.1411, 0.2856, 0.9199)
Si (0.2087, 0.7010, 0.6398)
O (0.4686, 0.9281, 0.9078)
O (0.8750, 0.8924, 0.0397)
O (0.9887, 0.2650, 0.7873)
O (0.2866, 0.5806, 0.6874)
O (0.0010, 0.7609, 0.1968)
O (0.7381, 0.2054, 0.2952)
O (0.7125, 0.4183, 0.7401)
O (0.6011, 0.6816, 0.3294)
O (0.0322, 0.3563, 0.3025)
O (0.5045, 0.6437, 0.0095)
O (0.9410, 0.6863, 0.7312)
O (0.6360, 0.6652, 0.7415)
O (0.4948, 0.2841, 0.3132)
O (0.7152, 0.5576, 0.5290)
O (0.2720, 0.3013, 0.8191)
O (0.1185, 0.6185, 0.4813)
O (0.1645, 0.8888, 0.0057)
O (0.1058, 0.0672, 0.2146)
O (0.7634, 0.7396, 0.2951)
O (0.2763, 0.6121, 0.2606)
O (0.8321, 0.9553, 0.7724)
O (0.6546, 0.0525, 0.2213)
O (0.4231, 0.2550, 0.5834)
O (0.4884, 0.8231, 0.5362)
O (0.0581, 0.1176, 0.9536)
O (0.7567, 0.1574, 0.9382)
O (0.2851, 0.4339, 0.4456)
O (0.8936, 0.3177, 0.5316)
F (0.8116, 0.4898, 0.1991)
F (0.7080, 0.1224, 0.6728)
F (0.0868, 0.4287, 0.9923)
F (0.5614, 0.3342, 0.0102)
F (0.2712, 0.3251, 0.0635)
F (0.2635, 0.9249, 0.3844)
F (0.0636, 0.0003, 0.5921)
F (0.9166, 0.0784, 0.3909)
Na (0.2709, 0.6830, 0.0257)
Na (0.7561, 0.9168, 0.5544)
Na (0.8241, 0.4183, 0.9407)
Na (0.4311, 0.0132, 0.6888)
Ca (0.5047, 0.4532, 0.8494)
Ca (0.0172, 0.8026, 0.4210)
Ca (0.8971, 0.1440, 0.1144)
Ca (0.4622, 0.8455, 0.3239)
Ca (0.4844, 0.4727, 0.1829)
Ca (0.4529, 0.1023, 0.0552)
Ca (0.1649, 0.3170, 0.6316)
Ca (0.2815, 0.1732, 0.3854)
Lu (0.4920, 0.6114, 0.5489)
Lu (0.0400, 0.9103, 0.8246)
Lu (0.6331, 0.8262, 0.9205)
Lu (0.6277, 0.3125, 0.4976)

Total DFT energy (no corrections) ... -6.589 eV/atom
Formation enthalpy at 0 K ... -43.8 eV/f.u.
Symmetry ... P1